Density functional theory data (PBE) for a geometry-optimized ZrCuF6 structure.

Geometry as CIF:
```
data_ZrCuF6
_cell_length_a 5.7559
_cell_length_b 5.7559
_cell_length_c 5.7559
_cell_angle_alpha 60.00
_cell_angle_beta 60.00
_cell_angle_gamma 60.00
_space_group_name_H-M_alt 'P 1'
_space_group_IT_number 1
loop_
_space_group_symop_operation_xyz
'x,y,z'
loop_
_atom_site_label
_atom_site_fract_x
_atom_site_fract_y
_atom_site_fract_z
F1 0.2502 0.2502 0.7498
F2 0.7498 0.2502 0.7498
F3 0.7498 0.2502 0.2502
F4 0.2502 0.7498 0.7498
F5 0.7498 0.7498 0.2502
F6 0.2502 0.7498 0.2502
Cu1 0.5000 0.5000 0.5000
Zr1 0.0000 0.0000 0.0000
```

Computed properties:
- energy of formation from the pure elements (meV/atom) = -3168